1.
# BiSO6, relaxed, DFT GGA-PBE
data_BiSO6
_space_group_name_H-M_alt 'P 1 21/c 1'
_space_group_IT_number 14
_cell_length_a 6.2701
_cell_length_b 16.4166
_cell_length_c 7.5897
_cell_angle_alpha 90.00
_cell_angle_beta 126.47
_cell_angle_gamma 90.00
loop_
_space_group_symop_operation_xyz
'x,y,z'
'-x,-y,-z'
'-x,y+1/2,-z+1/2'
'x,-y+1/2,z+1/2'
loop_
_atom_site_label
_atom_site_fract_x
_atom_site_fract_y
_atom_site_fract_z
Bi1 0.1029 0.1792 0.3433
S1 0.4225 0.6725 0.6155
O1 0.0368 0.5257 0.9639
O2 0.2076 0.7360 0.5273
O3 0.2317 0.0982 0.2082
O4 0.3224 0.6117 0.4373
O5 0.3235 0.2108 0.8230
O6 0.4839 0.6350 0.8194
# - Magnetic moment: 8.0 Bohr magnetons per cell
# - E_form: -7.8 eV per formula unit

2.
# Bi2S6O21, relaxed, DFT GGA-PBE
data_Bi2S6O21
_space_group_name_H-M_alt 'P -1'
_space_group_IT_number 2
_cell_length_a 6.7113
_cell_length_b 10.3610
_cell_length_c 11.8046
_cell_angle_alpha 91.02
_cell_angle_beta 96.79
_cell_angle_gamma 94.88
loop_
_space_group_symop_operation_xyz
'x,y,z'
'-x,-y,-z'
loop_
_atom_site_label
_atom_site_fract_x
_atom_site_fract_y
_atom_site_fract_z
Bi1 0.0766 0.0927 0.2640
Bi2 0.3345 0.4140 0.7211
S1 0.0825 0.8120 0.4511
S2 0.1354 0.4453 0.2363
S3 0.1740 0.1680 0.9306
S4 0.2087 0.6710 0.9065
S5 0.4269 0.0710 0.7756
S6 0.4604 0.7015 0.5399
O1 0.0001 0.0892 0.8701
O2 0.0094 0.5067 0.6930
O3 0.0170 0.4208 0.1096
O4 0.0346 0.8050 0.5684
O5 0.0721 0.2487 0.6344
O6 0.1598 0.9413 0.4193
O7 0.1798 0.7776 0.8267
O8 0.1857 0.1677 0.0530
O9 0.2068 0.3215 0.2732
O10 0.2088 0.2971 0.8841
O11 0.2343 0.7057 0.0249
O12 0.2428 0.0088 0.7094
O13 0.2627 0.7187 0.4421
O14 0.3008 0.5411 0.2198
O15 0.3504 0.5821 0.8709
O16 0.3721 0.0897 0.9070
O17 0.3754 0.6242 0.6277
O18 0.4096 0.0108 0.2075
O19 0.4208 0.3721 0.5305
O20 0.4530 0.1704 0.4232
O21 0.4825 0.2003 0.7361
# - E_form: -51.3 eV per formula unit

3.
# Bi2S3O12, relaxed, DFT GGA-PBE
data_Bi2S3O12
_space_group_name_H-M_alt 'P b c a'
_space_group_IT_number 61
_cell_length_a 9.2033
_cell_length_b 9.3534
_cell_length_c 25.7554
_cell_angle_alpha 90.00
_cell_angle_beta 90.00
_cell_angle_gamma 90.00
loop_
_space_group_symop_operation_xyz
'x,y,z'
'-x,-y,-z'
'-x+1/2,-y,z+1/2'
'x+1/2,y,-z+1/2'
'x+1/2,-y+1/2,-z'
'-x+1/2,y+1/2,z'
'-x,y+1/2,-z+1/2'
'x,-y+1/2,z+1/2'
loop_
_atom_site_label
_atom_site_fract_x
_atom_site_fract_y
_atom_site_fract_z
Bi1 0.9999 0.1055 0.0651
Bi2 0.0053 0.2001 0.3199
S1 0.1454 0.5534 0.2973
S2 0.1483 0.2411 0.4497
S3 0.1930 0.0888 0.6159
O1 0.0663 0.1157 0.4630
O2 0.0854 0.0842 0.7778
O3 0.0847 0.1237 0.9775
O4 0.0929 0.5822 0.3508
O5 0.0960 0.1812 0.5838
O6 0.0991 0.6737 0.2630
O7 0.1019 0.0154 0.6554
O8 0.1447 0.2217 0.8928
O9 0.1922 0.0443 0.2970
O10 0.1956 0.6765 0.6426
O11 0.1958 0.7362 0.4667
O12 0.2379 0.0169 0.0806
# - Magnetic moment: 0.0 Bohr magnetons per cell
# - E_form: -31.1 eV per formula unit

4.
# Bi2S2O, relaxed, DFT GGA-PBE
data_Bi2S2O
_space_group_name_H-M_alt 'P 4/n m m'
_space_group_IT_number 129
_cell_length_a 3.9787
_cell_length_b 3.9787
_cell_length_c 14.2327
_cell_angle_alpha 90.00
_cell_angle_beta 90.00
_cell_angle_gamma 90.00
loop_
_space_group_symop_operation_xyz
'x,y,z'
'-x,-y,-z'
'-y+1/2,x,z'
'y+1/2,-x,-z'
'-x+1/2,-y+1/2,z'
'x+1/2,y+1/2,-z'
'y,-x+1/2,z'
'-y,x+1/2,-z'
'x+1/2,-y,-z'
'-x+1/2,y,z'
'-y,-x,-z'
'y,x,z'
'-x,y+1/2,-z'
'x,-y+1/2,z'
'y+1/2,x+1/2,-z'
'-y+1/2,-x+1/2,z'
loop_
_atom_site_label
_atom_site_fract_x
_atom_site_fract_y
_atom_site_fract_z
Bi1 0.2500 0.2500 0.0895
Bi2 0.2500 0.2500 0.6337
S1 0.2500 0.2500 0.3943
S2 0.2500 0.2500 0.8121
O1 0.2500 0.7500 0.0000
# - E_form: -5.0 eV per formula unit

5.
# Bi2S3O12, relaxed, DFT GGA-PBE
data_Bi2S3O12
_space_group_name_H-M_alt 'R -3'
_space_group_IT_number 148
_space_group_name_Hall '-R 3'
_cell_length_a 9.1458
_cell_length_b 9.1458
_cell_length_c 24.6595
_cell_angle_alpha 90.00
_cell_angle_beta 90.00
_cell_angle_gamma 120.00
loop_
_atom_site_label
_atom_site_fract_x
_atom_site_fract_y
_atom_site_fract_z
Bi1 0.0000 0.0000 0.1436
Bi2 0.0000 0.0000 0.3486
S1 0.0052 0.2901 0.7496
O1 0.0062 0.7864 0.1962
O2 0.0317 0.2210 0.0867
O3 0.0782 0.5005 0.0647
O4 0.0859 0.2287 0.7097
# - E_form: -31.7 eV per formula unit

6.
# BiS2O8, relaxed, DFT GGA-PBE
data_BiS2O8
_space_group_name_H-M_alt 'P b c a'
_space_group_IT_number 61
_cell_length_a 9.8664
_cell_length_b 14.7493
_cell_length_c 10.0041
_cell_angle_alpha 90.00
_cell_angle_beta 90.00
_cell_angle_gamma 90.00
loop_
_space_group_symop_operation_xyz
'x,y,z'
'-x,-y,-z'
'-x+1/2,-y,z+1/2'
'x+1/2,y,-z+1/2'
'x+1/2,-y+1/2,-z'
'-x+1/2,y+1/2,z'
'-x,y+1/2,-z+1/2'
'x,-y+1/2,z+1/2'
loop_
_atom_site_label
_atom_site_fract_x
_atom_site_fract_y
_atom_site_fract_z
Bi1 0.1014 0.1247 0.1432
S1 0.0706 0.7272 0.0765
S2 0.1862 0.0117 0.8421
O1 0.0106 0.6572 0.9950
O2 0.0239 0.7233 0.2201
O3 0.0355 0.6782 0.5283
O4 0.0398 0.5056 0.3031
O5 0.1932 0.0228 0.9915
O6 0.2229 0.7254 0.0771
O7 0.2364 0.0751 0.3167
O8 0.2368 0.0885 0.7681
# - Magnetic moment: 0.1 Bohr magnetons per cell
# - E_form: -18.5 eV per formula unit

7.
# Bi2S3O12, relaxed, DFT GGA-PBE
data_Bi2S3O12
_space_group_name_H-M_alt 'C 1 2/c 1'
_space_group_IT_number 15
_cell_length_a 14.3311
_cell_length_b 9.2758
_cell_length_c 9.3365
_cell_angle_alpha 90.00
_cell_angle_beta 116.08
_cell_angle_gamma 90.00
loop_
_space_group_symop_operation_xyz
'x,y,z'
'-x,-y,-z'
'-x,y,-z+1/2'
'x,-y,z+1/2'
'x+1/2,y+1/2,z'
'-x+1/2,-y+1/2,-z'
'-x+1/2,y+1/2,-z+1/2'
'x+1/2,-y+1/2,z+1/2'
loop_
_atom_site_label
_atom_site_fract_x
_atom_site_fract_y
_atom_site_fract_z
Bi1 0.1167 0.2460 0.0207
S1 0.0000 0.4408 0.2500
S2 0.1501 0.1046 0.6757
O1 0.0359 0.1221 0.6276
O2 0.0529 0.3454 0.1802
O3 0.0795 0.4687 0.8748
O4 0.1741 0.0538 0.1947
O5 0.1869 0.1762 0.5744
O6 0.2037 0.1662 0.8483
# - Magnetic moment: 0.0 Bohr magnetons per cell
# - E_form: -30.8 eV per formula unit